{"formula": "LuAl10Fe2", "functional": "PBE-GGA", "state": "relaxed", "lattice": [[-2.951, 5.728, -1.988], [-4.057, -4.219, -3.348], [-5.466, -0.360, 7.078]], "species": ["Lu", "Lu", "Al", "Al", "Al", "Al", "Al", "Al", "Al", "Al", "Al", "Al", "Al", "Al", "Al", "Al", "Al", "Al", "Al", "Al", "Al", "Al", "Fe", "Fe", "Fe", "Fe"], "fractional_positions": [[0.873, 0.127, 0.750], [0.127, 0.873, 0.250], [0.626, 0.374, 0.549], [0.374, 0.626, 0.451], [0.374, 0.626, 0.049], [0.626, 0.374, 0.951], [0.227, 0.227, 0.500], [0.773, 0.773, 0.500], [0.773, 0.773, 0.000], [0.227, 0.227, 0.000], [0.843, 0.157, 0.096], [0.157, 0.843, 0.904], [0.157, 0.843, 0.596], [0.843, 0.157, 0.404], [0.865, 0.583, 0.750], [0.135, 0.417, 0.250], [0.417, 0.135, 0.750], [0.583, 0.865, 0.250], [0.220, 0.478, 0.750], [0.780, 0.522, 0.250], [0.522, 0.780, 0.750], [0.478, 0.220, 0.250], [0.000, 0.500, 0.500], [0.000, 0.500, 0.000], [0.500, 0.000, 0.000], [0.500, 0.000, 0.500]], "e_form_mev_per_atom": -342, "space_group": "No. 63"}